SmMgSe3: relaxed, GGA-PBE.

a = 7.3653 Å, b = 7.3653 Å, c = 6.8931 Å
α = 76.29°, β = 76.29°, γ = 116.97°
With the nearest neighbours (Å) after each atom.
Positions (direct):
Sm  0.8039  0.8039  0.3124  4 Se 2.77-2.80
Sm  0.1961  0.1961  0.6876  4 Se 2.77-2.80
Mg  0.3334  0.6666  0.0000  4 Se 2.66-2.68
Mg  0.6666  0.3334  0.0000  4 Se 2.66-2.68
Se  0.2328  0.8882  0.2170  1 Mg 2.68, 1 Sm 2.80
Se  0.7672  0.1118  0.7830  1 Mg 2.68, 1 Sm 2.80
Se  0.1118  0.7672  0.7830  1 Mg 2.68, 1 Sm 2.80
Se  0.8882  0.2328  0.2170  1 Mg 2.68, 1 Sm 2.80
Se  0.5317  0.5317  0.7475  2 Mg 2.66, 2 Sm 2.77-2.80
Se  0.4683  0.4683  0.2525  2 Mg 2.66, 2 Sm 2.77-2.80

Results
energy with MP2020 corrections = -0.3489 Ry per atom
energy above the most stable polymorph in this dataset = 101 meV/atom
DFT formation energy = -133.7 kJ/mol of atoms
calculated density = 4.601 g cm⁻³